# SiO2, relaxed, DFT r2SCAN
# symmetry = Cmce (64)
data_SiO2
_chemical_formula_sum 'Si8 O16'
_cell_length_a 6.8273
_cell_length_b 6.8273
_cell_length_c 8.9927
_cell_angle_alpha 90.00
_cell_angle_beta 90.00
_cell_angle_gamma 97.35
_symmetry_space_group_name_H-M 'P 1'
_symmetry_Int_Tables_number 1
_symmetry_space_group_name_Hall 'P 1'
loop_
_atom_site_label
_atom_site_fract_x
_atom_site_fract_y
_atom_site_fract_z
Si1 0.3069 0.0393 0.9095
Si2 0.4607 0.1931 0.5905
Si3 0.0393 0.3069 0.0905
Si4 0.1931 0.4607 0.4095
Si5 0.9607 0.6931 0.9095
Si6 0.6931 0.9607 0.0905
Si7 0.8069 0.5393 0.5905
Si8 0.5393 0.8069 0.4095
O1 0.8078 0.8078 0.0000
O2 0.6321 0.8679 0.2500
O3 0.6922 0.6922 0.5000
O4 0.3331 0.6669 0.3870
O5 0.1321 0.3679 0.2500
O6 0.8679 0.6321 0.7500
O7 0.1922 0.1922 0.0000
O8 0.3679 0.1321 0.7500
O9 0.0000 0.5000 0.0000
O10 0.1669 0.8331 0.8870
O11 0.6669 0.3331 0.6130
O12 0.8331 0.1669 0.1130
O13 0.3078 0.3078 0.5000
O14 0.5000 0.0000 0.0000
O15 0.0000 0.5000 0.5000
O16 0.5000 0.0000 0.5000

=====

# TmAl7Au3, relaxed, DFT r2SCAN
# symmetry = R-3c (167)
data_TmAl7Au3
_chemical_formula_sum 'Tm2 Al14 Au6'
_cell_length_a 8.3635
_cell_length_b 8.3635
_cell_length_c 8.3635
_cell_angle_alpha 57.31
_cell_angle_beta 57.31
_cell_angle_gamma 57.31
_symmetry_space_group_name_H-M 'P 1'
_symmetry_Int_Tables_number 1
_symmetry_space_group_name_Hall 'P 1'
loop_
_atom_site_label
_atom_site_fract_x
_atom_site_fract_y
_atom_site_fract_z
Tm1 0.0000 0.0000 0.0000
Tm2 0.5000 0.5000 0.5000
Al1 0.9317 0.1472 0.3323
Al2 0.3323 0.9317 0.1472
Al3 0.1472 0.3323 0.9317
Al4 0.5683 0.1677 0.3528
Al5 0.3528 0.5683 0.1677
Al6 0.1677 0.3528 0.5683
Al7 0.0683 0.8528 0.6677
Al8 0.6677 0.0683 0.8528
Al9 0.7500 0.7500 0.7500
Al10 0.2500 0.2500 0.2500
Al11 0.8323 0.6472 0.4317
Al12 0.6472 0.4317 0.8323
Al13 0.4317 0.8323 0.6472
Al14 0.8528 0.6677 0.0683
Au1 0.2500 0.5757 0.9243
Au2 0.9243 0.2500 0.5757
Au3 0.5757 0.9243 0.2500
Au4 0.7500 0.4243 0.0757
Au5 0.0757 0.7500 0.4243
Au6 0.4243 0.0757 0.7500

=====

Let's list size of the total moment in order: 0.0 0.0 Bohr magnetons per cell.
Let's list total energy in order: -0.3648 -0.8023 Ha/atom.
Let's list formation energy from the elements in order: -3.02 -0.56 eV per atom.